(1)
Material: Ba3Y5Ni3O15
Method: DFT, PBE with a Hubbard U
State: relaxed

Computed properties:
Calculated formation energy = -2.7939 eV/atom
E_tot = -7.091 eV per atom

abc: 11.9148 5.8036 11.3231
angles: 90.00 108.63 90.00
Last column: nearest neighbours and their distance in Å.
Space group Cm (No. 8)
Inequivalent atoms, fractional coordinates:
Ba: 0.0000 0.0000 0.0000 (multiplicity 2)  10 O 2.73-2.96
Ba: 0.0085 0.0000 0.3368 (multiplicity 2)  10 O 2.90-2.99
Ba: 0.4916 0.5000 0.6576 (multiplicity 2)  10 O 2.77-3.05
Y: 0.2047 0.5000 0.7338 (multiplicity 2)  7 O 2.28-2.43
Y: 0.2074 0.5000 0.0697 (multiplicity 2)  7 O 2.26-2.43
Y: 0.2917 0.0000 0.5964 (multiplicity 2)  7 O 2.27-2.47
Y: 0.2952 0.0000 0.9336 (multiplicity 2)  7 O 2.26-2.45
Y: 0.2963 0.0000 0.2621 (multiplicity 2)  7 O 2.27-2.44
Ni: 0.0011 0.5000 0.8333 (multiplicity 2)  2 O 1.90
Ni: 0.0099 0.5000 0.5009 (multiplicity 2)  6 O 1.87-2.06
Ni: 0.0161 0.5000 0.1744 (multiplicity 2)  4 O 1.86-2.05
O: 0.1402 0.2541 0.5628 (multiplicity 4)  1 Ni 2.06, 1 Y 2.27
O: 0.1424 0.2488 0.1952 (multiplicity 4)  1 Ni 2.05, 1 Y 2.27
O: 0.1482 0.2646 0.8828 (multiplicity 4)  1 Ni 2.15, 1 Y 2.26
O: 0.3533 0.2338 0.7829 (multiplicity 4)  1 Ni 2.15, 1 Y 2.28
O: 0.3554 0.2373 0.1178 (multiplicity 4)  3 Y 2.26-2.41, 1 Ni 2.28
O: 0.3763 0.2135 0.4561 (multiplicity 4)  1 Ni 1.95
O: 0.4978 0.0000 0.3318 (multiplicity 2)  2 Ni 1.86-1.87
O: 0.4983 0.0000 0.6649 (multiplicity 2)  2 Ni 1.90-1.91
O: 0.4987 0.0000 0.0001 (multiplicity 2)  2 Ni 1.90-1.92

(2)
Material: Ba2YNi3O7
Method: DFT, PBE with a Hubbard U
State: relaxed

Computed properties:
Calculated formation energy = -2.1685 eV/atom
E_tot = -6.003 eV per atom

abc: 7.8160 7.9210 23.0464
angles: 90.00 90.00 90.00
Last column: nearest neighbours and their distance in Å.
Space group Fmmm (No. 69)
Inequivalent atoms, fractional coordinates:
Ba: 0.2500 0.2500 0.0912 (multiplicity 16)  10 O 2.79-2.99
Y: 0.2500 0.2500 0.2500 (multiplicity 8)  8 O 2.42-2.44
Ni: 0.0000 0.0000 0.0000 (multiplicity 4)  4 O 1.87-1.88
Ni: 0.0000 0.0000 0.1714 (multiplicity 8)  5 O 1.99-2.08
Ni: 0.0000 0.0000 0.3293 (multiplicity 8)  5 O 2.00-2.05
Ni: 0.0000 0.0000 0.5000 (multiplicity 4)  4 O 1.89-2.08
O: 0.0000 0.0000 0.0811 (multiplicity 8)  2 Ni 1.87-2.08
O: 0.0000 0.0000 0.4182 (multiplicity 8)  2 Ni 1.89-2.05
O: 0.0000 0.2369 0.0000 (multiplicity 8)  2 Ni 1.88-2.08
O: 0.0000 0.2494 0.1881 (multiplicity 16)  2 Ni 2.01-2.02
O: 0.2496 0.0000 0.1882 (multiplicity 16)  2 Ni 1.99-2.00

(3)
Material: BaYNi4O7
Method: DFT, PBE with a Hubbard U
State: relaxed

Computed properties:
Calculated formation energy = -1.8245 eV/atom
E_tot = -5.761 eV per atom

abc: 6.3474 6.3474 10.4560
angles: 90.00 90.00 120.00
Last column: nearest neighbours and their distance in Å.
Space group P6_3mc (No. 186)
Inequivalent atoms, fractional coordinates:
Ba: 0.3333 0.6667 0.0000 (multiplicity 2)  12 O 3.04-3.34
Y: 0.3333 0.6667 0.3897 (multiplicity 2)  6 O 2.26-2.30
Ni: 0.0000 0.0000 0.4479 (multiplicity 2)  4 O 1.94-2.06
Ni: 0.1722 0.3444 0.6962 (multiplicity 6)  4 O 1.91-1.98
O: 0.0000 0.0000 0.2510 (multiplicity 2)  4 Ni 1.98-2.06
O: 0.0098 0.5049 0.7641 (multiplicity 6)  2 Ni 1.91
O: 0.1648 0.3296 0.5139 (multiplicity 6)  2 Ni 1.91-1.94